1.
VASP calculation (PBE) on a geometry-optimized UBO3 structure.

```
UBO3
1.0
-1.053 -0.496 3.394
-0.134 -3.541 -0.560
3.427 -0.291 1.021
O U B
3 1 1
Direct
0.500 0.500 0.000
0.000 0.500 0.500
0.500 0.000 0.500
0.000 0.000 0.000
0.500 0.500 0.500
```

Crystal system: cubic
Formation energy from the elements, eV per formula unit: -11.11
Energy with MP2020 corrections, eV per atom: -8.78
SG: No. 221

---

2.
VASP calculation (PBE) on a geometry-optimized UB2O6 structure.

```
UB2O6
1.0
2.112 6.338 0.000
-2.112 6.338 0.000
0.000 5.649 9.262
O B U
12 4 2
Direct
0.668 0.156 0.944
0.859 0.344 0.247
0.475 0.117 0.741
0.883 0.525 0.759
0.156 0.668 0.444
0.525 0.883 0.259
0.117 0.475 0.241
0.844 0.332 0.556
0.332 0.844 0.056
0.141 0.656 0.753
0.656 0.141 0.253
0.344 0.859 0.747
0.151 0.451 0.749
0.549 0.849 0.751
0.849 0.549 0.251
0.451 0.151 0.249
0.237 0.763 0.250
0.763 0.237 0.750
```

Crystal system: monoclinic
Formation energy from the elements, eV per formula unit: -28.41
Energy with MP2020 corrections, eV per atom: -9.19
SG: No. 15

---

3.
VASP calculation (PBE) on a geometry-optimized UB12O13 structure.

```
UB12O13
1.0
1.100 -6.826 -0.290
4.027 -0.043 -5.627
9.320 -2.615 1.789
B O U
12 13 1
Direct
0.941 0.642 0.426
0.642 0.941 0.426
0.867 0.867 0.217
0.992 0.253 0.464
0.253 0.992 0.464
0.090 0.090 0.289
0.049 0.857 0.465
0.857 0.049 0.465
0.837 0.837 0.668
0.662 0.001 0.737
0.001 0.662 0.737
0.783 0.783 0.538
0.664 0.263 0.931
0.520 0.122 0.766
0.927 0.428 0.495
0.722 0.997 0.247
0.565 0.565 0.352
0.997 0.722 0.247
0.580 0.580 0.034
0.435 0.435 0.474
0.263 0.664 0.931
0.203 0.203 0.435
0.122 0.520 0.766
0.428 0.927 0.495
0.187 0.187 0.142
0.468 0.468 0.932
```

Crystal system: monoclinic
Formation energy from the elements, eV per formula unit: -31.02
Energy with MP2020 corrections, eV per atom: -7.18
SG: No. 8

---

Energy readings, ordered: -41.9 -157.2 -184.7 eV/cell